Entry 1:
GdB4: relaxed, meta-GGA r2SCAN.

Properties
Calculated volume in Å³/cell: 206.10
Calculated formation energy in eV/atom: -0.644
Total moment in μB/cell: 0.00
VASP energy in eV per cell: -304.00

```
data_GdB4
_chemical_formula_sum 'Gd4 B16'
_cell_length_a 4.045
_cell_length_b 7.138
_cell_length_c 7.138
_cell_angle_alpha 90.00
_cell_angle_beta 90.00
_cell_angle_gamma 90.00
_space_group_name_H-M_alt 'P 1'
_space_group_IT_number 1
_space_group_name_Hall 'P 1'
loop_
_atom_site_label
_atom_site_type_symbol
_atom_site_fract_x
_atom_site_fract_y
_atom_site_fract_z
_atom_site_occupancy
Gd1 Gd 0.000 0.317 0.817 1
Gd2 Gd 0.000 0.683 0.183 1
Gd3 Gd 0.000 0.183 0.317 1
Gd4 Gd 0.000 0.817 0.683 1
B1 B 0.797 0.500 0.500 1
B2 B 0.797 0.000 0.000 1
B3 B 0.203 0.500 0.500 1
B4 B 0.203 0.000 0.000 1
B5 B 0.500 0.539 0.675 1
B6 B 0.500 0.461 0.325 1
B7 B 0.500 0.961 0.175 1
B8 B 0.500 0.039 0.825 1
B9 B 0.500 0.675 0.461 1
B10 B 0.500 0.325 0.539 1
B11 B 0.500 0.175 0.039 1
B12 B 0.500 0.825 0.961 1
B13 B 0.500 0.588 0.912 1
B14 B 0.500 0.412 0.088 1
B15 B 0.500 0.912 0.412 1
B16 B 0.500 0.088 0.588 1
```



Entry 2:
ThPt3: relaxed, meta-GGA r2SCAN.

Properties
Calculated volume in Å³/cell: 74.99
Calculated formation energy in eV/atom: -1.140
Total moment in μB/cell: 0.00
VASP energy in eV per cell: -232.50

```
data_ThPt3
_chemical_formula_sum 'Th1 Pt3'
_cell_length_a 4.217
_cell_length_b 4.217
_cell_length_c 4.217
_cell_angle_alpha 90.00
_cell_angle_beta 90.00
_cell_angle_gamma 90.00
_space_group_name_H-M_alt 'P 1'
_space_group_IT_number 1
_space_group_name_Hall 'P 1'
loop_
_atom_site_label
_atom_site_type_symbol
_atom_site_fract_x
_atom_site_fract_y
_atom_site_fract_z
_atom_site_occupancy
Th1 Th 0.000 0.000 0.000 1
Pt1 Pt 0.000 0.500 0.500 1
Pt2 Pt 0.500 0.000 0.500 1
Pt3 Pt 0.500 0.500 0.000 1
```



Entry 3:
EuAg2: relaxed, meta-GGA r2SCAN.

Properties
Calculated volume in Å³/cell: 145.93
Calculated formation energy in eV/atom: -0.309
Total moment in μB/cell: 14.30
VASP energy in eV per cell: -164.32

```
data_EuAg2
_chemical_formula_sum 'Eu2 Ag4'
_cell_length_a 4.774
_cell_length_b 6.034
_cell_length_c 6.034
_cell_angle_alpha 76.17
_cell_angle_beta 66.70
_cell_angle_gamma 66.70
_space_group_name_H-M_alt 'P 1'
_space_group_IT_number 1
_space_group_name_Hall 'P 1'
loop_
_atom_site_label
_atom_site_type_symbol
_atom_site_fract_x
_atom_site_fract_y
_atom_site_fract_z
_atom_site_occupancy
Eu1 Eu 0.456 0.294 0.794 1
Eu2 Eu 0.544 0.706 0.206 1
Ag1 Ag 0.837 0.111 0.216 1
Ag2 Ag 0.163 0.889 0.784 1
Ag3 Ag 0.163 0.284 0.389 1
Ag4 Ag 0.837 0.716 0.611 1
```



Entry 4:
LiCr3O8: relaxed, meta-GGA r2SCAN.

Properties
Calculated volume in Å³/cell: 276.25
Calculated formation energy in eV/atom: -2.013
Total moment in μB/cell: 6.00
VASP energy in eV per cell: -239.08

```
data_LiCr3O8
_chemical_formula_sum 'Li2 Cr6 O16'
_cell_length_a 5.454
_cell_length_b 6.180
_cell_length_c 8.196
_cell_angle_alpha 90.00
_cell_angle_beta 90.00
_cell_angle_gamma 90.00
_space_group_name_H-M_alt 'P 1'
_space_group_IT_number 1
_space_group_name_Hall 'P 1'
loop_
_atom_site_label
_atom_site_type_symbol
_atom_site_fract_x
_atom_site_fract_y
_atom_site_fract_z
_atom_site_occupancy
Li1 Li 0.500 0.998 0.500 1
Li2 Li 0.000 0.499 0.000 1
Cr1 Cr 0.000 0.267 0.354 1
Cr2 Cr 0.000 0.733 0.646 1
Cr3 Cr 0.000 0.000 0.000 1
Cr4 Cr 0.500 0.500 0.500 1
Cr5 Cr 0.500 0.767 0.146 1
Cr6 Cr 0.500 0.233 0.854 1
O1 O 0.500 0.550 0.264 1
O2 O 0.000 0.050 0.236 1
O3 O 0.000 0.950 0.764 1
O4 O 0.500 0.450 0.736 1
O5 O 0.500 0.977 0.257 1
O6 O 0.000 0.477 0.243 1
O7 O 0.000 0.523 0.757 1
O8 O 0.500 0.023 0.743 1
O9 O 0.246 0.770 0.028 1
O10 O 0.754 0.770 0.028 1
O11 O 0.746 0.270 0.472 1
O12 O 0.746 0.730 0.528 1
O13 O 0.254 0.270 0.472 1
O14 O 0.254 0.730 0.528 1
O15 O 0.246 0.230 0.972 1
O16 O 0.754 0.230 0.972 1
```



Entry 5:
EuAl12O19: relaxed, meta-GGA r2SCAN.

Properties
Calculated volume in Å³/cell: 589.05
Calculated formation energy in eV/atom: -3.357
Total moment in μB/cell: 14.00
VASP energy in eV per cell: -680.43

```
data_EuAl12O19
_chemical_formula_sum 'Eu2 Al24 O38'
_cell_length_a 5.564
_cell_length_b 5.564
_cell_length_c 21.968
_cell_angle_alpha 90.00
_cell_angle_beta 90.00
_cell_angle_gamma 120.00
_space_group_name_H-M_alt 'P 1'
_space_group_IT_number 1
_space_group_name_Hall 'P 1'
loop_
_atom_site_label
_atom_site_type_symbol
_atom_site_fract_x
_atom_site_fract_y
_atom_site_fract_z
_atom_site_occupancy
Eu1 Eu 0.667 0.333 0.990 1
Eu2 Eu 0.333 0.667 0.490 1
Al1 Al 0.667 0.333 0.552 1
Al2 Al 0.333 0.667 0.052 1
Al3 Al 0.667 0.333 0.271 1
Al4 Al 0.333 0.667 0.771 1
Al5 Al 0.000 0.000 0.743 1
Al6 Al 0.000 0.000 0.243 1
Al7 Al 0.000 0.000 0.003 1
Al8 Al 0.000 0.000 0.503 1
Al9 Al 0.832 0.665 0.851 1
Al10 Al 0.832 0.168 0.851 1
Al11 Al 0.168 0.335 0.351 1
Al12 Al 0.335 0.168 0.851 1
Al13 Al 0.168 0.832 0.351 1
Al14 Al 0.665 0.832 0.351 1
Al15 Al 0.667 0.333 0.714 1
Al16 Al 0.333 0.667 0.214 1
Al17 Al 0.169 0.338 0.634 1
Al18 Al 0.169 0.831 0.634 1
Al19 Al 0.831 0.662 0.134 1
Al20 Al 0.662 0.831 0.634 1
Al21 Al 0.831 0.169 0.134 1
Al22 Al 0.338 0.169 0.134 1
Al23 Al 0.667 0.333 0.433 1
Al24 Al 0.333 0.667 0.933 1
O1 O 0.155 0.311 0.794 1
O2 O 0.155 0.845 0.794 1
O3 O 0.845 0.689 0.294 1
O4 O 0.689 0.845 0.794 1
O5 O 0.845 0.155 0.294 1
O6 O 0.311 0.155 0.294 1
O7 O 0.000 0.000 0.592 1
O8 O 0.000 0.000 0.092 1
O9 O 0.181 0.363 0.993 1
O10 O 0.181 0.819 0.993 1
O11 O 0.819 0.637 0.493 1
O12 O 0.637 0.819 0.993 1
O13 O 0.819 0.181 0.493 1
O14 O 0.363 0.181 0.493 1
O15 O 0.502 0.004 0.891 1
O16 O 0.502 0.498 0.891 1
O17 O 0.498 0.996 0.391 1
O18 O 0.996 0.498 0.891 1
O19 O 0.498 0.502 0.391 1
O20 O 0.004 0.502 0.391 1
O21 O 0.000 0.000 0.889 1
O22 O 0.000 0.000 0.389 1
O23 O 0.846 0.691 0.690 1
O24 O 0.846 0.154 0.690 1
O25 O 0.154 0.309 0.190 1
O26 O 0.309 0.154 0.690 1
O27 O 0.154 0.846 0.190 1
O28 O 0.691 0.846 0.190 1
O29 O 0.667 0.333 0.797 1
O30 O 0.333 0.667 0.297 1
O31 O 0.667 0.333 0.188 1
O32 O 0.333 0.667 0.688 1
O33 O 0.498 0.996 0.595 1
O34 O 0.498 0.502 0.595 1
O35 O 0.502 0.004 0.095 1
O36 O 0.004 0.502 0.595 1
O37 O 0.502 0.498 0.095 1
O38 O 0.996 0.498 0.095 1
```



Entry 6:
TcOF4: relaxed, meta-GGA r2SCAN.

Properties
Calculated volume in Å³/cell: 545.64
Calculated formation energy in eV/atom: -2.124
Total moment in μB/cell: 6.00
VASP energy in eV per cell: -343.11

```
data_TcOF4
_chemical_formula_sum 'Tc6 O6 F24'
_cell_length_a 8.904
_cell_length_b 8.904
_cell_length_c 7.947
_cell_angle_alpha 90.00
_cell_angle_beta 90.00
_cell_angle_gamma 120.00
_space_group_name_H-M_alt 'P 1'
_space_group_IT_number 1
_space_group_name_Hall 'P 1'
loop_
_atom_site_label
_atom_site_type_symbol
_atom_site_fract_x
_atom_site_fract_y
_atom_site_fract_z
_atom_site_occupancy
Tc1 Tc 0.940 0.603 0.750 1
Tc2 Tc 0.338 0.941 0.250 1
Tc3 Tc 0.603 0.662 0.250 1
Tc4 Tc 0.397 0.338 0.750 1
Tc5 Tc 0.662 0.060 0.750 1
Tc6 Tc 0.059 0.397 0.250 1
O1 O 0.853 0.324 0.250 1
O2 O 0.147 0.676 0.750 1
O3 O 0.471 0.147 0.250 1
O4 O 0.676 0.529 0.250 1
O5 O 0.324 0.471 0.750 1
O6 O 0.529 0.853 0.750 1
F1 F 0.114 0.421 0.477 1
F2 F 0.886 0.579 0.977 1
F3 F 0.306 0.886 0.477 1
F4 F 0.579 0.694 0.477 1
F5 F 0.421 0.306 0.977 1
F6 F 0.694 0.114 0.977 1
F7 F 0.079 0.203 0.250 1
F8 F 0.877 0.079 0.750 1
F9 F 0.203 0.123 0.750 1
F10 F 0.797 0.877 0.250 1
F11 F 0.123 0.921 0.250 1
F12 F 0.921 0.797 0.750 1
F13 F 0.358 0.507 0.250 1
F14 F 0.850 0.358 0.750 1
F15 F 0.507 0.150 0.750 1
F16 F 0.493 0.850 0.250 1
F17 F 0.150 0.642 0.250 1
F18 F 0.642 0.493 0.750 1
F19 F 0.114 0.421 0.023 1
F20 F 0.694 0.114 0.523 1
F21 F 0.421 0.306 0.523 1
F22 F 0.579 0.694 0.023 1
F23 F 0.306 0.886 0.023 1
F24 F 0.886 0.579 0.523 1
```



Entry 7:
Sm2ZnSb4: relaxed, meta-GGA r2SCAN.

Properties
Calculated volume in Å³/cell: 190.08
Calculated formation energy in eV/atom: -0.834
Total moment in μB/cell: 0.00
VASP energy in eV per cell: -177.04

```
data_Sm2ZnSb4
_chemical_formula_sum 'Sm2 Zn1 Sb4'
_cell_length_a 4.342
_cell_length_b 4.342
_cell_length_c 10.082
_cell_angle_alpha 90.00
_cell_angle_beta 90.00
_cell_angle_gamma 90.00
_space_group_name_H-M_alt 'P 1'
_space_group_IT_number 1
_space_group_name_Hall 'P 1'
loop_
_atom_site_label
_atom_site_type_symbol
_atom_site_fract_x
_atom_site_fract_y
_atom_site_fract_z
_atom_site_occupancy
Sm1 Sm 0.500 0.000 0.752 1
Sm2 Sm 0.000 0.500 0.248 1
Zn1 Zn 0.500 0.500 0.500 1
Sb1 Sb 0.500 0.500 0.000 1
Sb2 Sb 0.000 0.000 0.000 1
Sb3 Sb 0.500 0.000 0.348 1
Sb4 Sb 0.000 0.500 0.652 1
```



Entry 8:
Lu3TlC: relaxed, meta-GGA r2SCAN.

Properties
Calculated volume in Å³/cell: 106.91
Calculated formation energy in eV/atom: -0.701
Total moment in μB/cell: 0.00
VASP energy in eV per cell: -180.87

```
data_Lu3TlC
_chemical_formula_sum 'Lu3 Tl1 C1'
_cell_length_a 4.746
_cell_length_b 4.746
_cell_length_c 4.746
_cell_angle_alpha 90.00
_cell_angle_beta 90.00
_cell_angle_gamma 90.00
_space_group_name_H-M_alt 'P 1'
_space_group_IT_number 1
_space_group_name_Hall 'P 1'
loop_
_atom_site_label
_atom_site_type_symbol
_atom_site_fract_x
_atom_site_fract_y
_atom_site_fract_z
_atom_site_occupancy
Lu1 Lu 0.500 0.000 0.500 1
Lu2 Lu 0.000 0.500 0.500 1
Lu3 Lu 0.500 0.500 0.000 1
Tl1 Tl 0.000 0.000 0.000 1
C1 C 0.500 0.500 0.500 1
```